No. 1
Tb12Re5C15 | PBE-GGA | optimized geometry

Output
**Crystal system**: hexagonal
**Size of the total moment**: 0.00 Bohr magnetons per cell
**Electronic total energy**: -0.307 Ha/atom

a = 10.7725 Å, b = 10.7725 Å, c = 5.1367 Å
α = 90.00°, β = 90.00°, γ = 120.00°
Space group P-62m (No. 189)
Symmetry-distinct sites (fractional):
Tb 0.0000 0.2049 0.0000
Tb 0.0000 0.5744 0.0000
Tb 0.1860 0.4560 0.5000
Re 0.0000 0.8483 0.5000
Re 0.3333 0.6667 0.0000
C 0.0000 0.2146 0.5000
C 0.0000 0.5416 0.5000
C 0.0000 0.6671 0.5000
C 0.1907 0.4683 0.0000

No. 2
K3Ga13 | PBE-GGA | optimized geometry

Output
**Crystal system**: orthorhombic
**Size of the total moment**: 0.00 Bohr magnetons per cell
**Electronic total energy**: -0.104 Ha/atom

a = 6.5253 Å, b = 16.3754 Å, c = 28.9041 Å
α = 90.00°, β = 90.00°, γ = 90.00°
Space group Cmcm (No. 63)
Symmetry-distinct sites (fractional):
K 0.0000 0.0116 0.1384
K 0.0000 0.2134 0.5867
K 0.0000 0.3617 0.6806
Ga 0.0000 0.0788 0.2500
Ga 0.0000 0.2013 0.0722
Ga 0.0000 0.2321 0.2500
Ga 0.0000 0.2593 0.1561
Ga 0.0000 0.3415 0.0311
Ga 0.0000 0.4281 0.1716
Ga 0.0000 0.4826 0.0894
Ga 0.1938 0.0506 0.5349
Ga 0.2005 0.1698 0.7034
Ga 0.2037 0.3909 0.5475
Ga 0.2126 0.4709 0.2500

No. 3
CsCuCl3 | PBE-GGA | optimized geometry

Output
**Crystal system**: hexagonal
**Size of the total moment**: 0.01 Bohr magnetons per cell
**Electronic total energy**: -0.117 Ha/atom

a = 7.3081 Å, b = 7.3081 Å, c = 6.0127 Å
α = 90.00°, β = 90.00°, γ = 120.00°
Space group P6_3/mmc (No. 194)
Symmetry-distinct sites (fractional):
Cs 0.3333 0.6667 0.2500
Cu 0.0000 0.0000 0.0000
Cl 0.1539 0.3078 0.7500